VASP calculation (PBE) on a geometry-optimized K3BiP2S8 structure.

Cell lengths 6.9528, 9.2640, 24.3779 Å; angles 90.00, 90.00, 90.00 degrees
Last column: nearest neighbours and their distance in Å.
Element x y z (fractional)
K1 0.0030 0.0883 0.2880  6 S 3.14-3.46
K2 0.0072 0.5196 0.8128  7 S 3.33-3.70
K3 0.0076 0.2555 0.0777  6 S 3.16-3.53
K4 0.4924 0.7445 0.5777  6 S 3.16-3.53
K5 0.4928 0.4804 0.3128  7 S 3.33-3.70
K6 0.4970 0.9117 0.7880  6 S 3.14-3.46
K7 0.5030 0.4117 0.7120  6 S 3.14-3.46
K8 0.5072 0.9804 0.1872  7 S 3.33-3.70
K9 0.5076 0.2445 0.9223  6 S 3.16-3.53
K10 0.9924 0.7555 0.4223  6 S 3.16-3.53
K11 0.9928 0.0196 0.6872  7 S 3.33-3.70
K12 0.9970 0.5883 0.2120  6 S 3.14-3.46
Bi1 0.0618 0.3503 0.5526  5 S 2.69-2.96
Bi2 0.4382 0.6497 0.0526  5 S 2.69-2.96
Bi3 0.5618 0.1497 0.4474  5 S 2.69-2.96
Bi4 0.9382 0.8503 0.9474  5 S 2.69-2.96
P1 0.0054 0.1102 0.8454  4 S 2.02-2.12
P2 0.0355 0.8543 0.0921  4 S 2.00-2.11
P3 0.4645 0.1457 0.5921  4 S 2.00-2.11
P4 0.4946 0.8898 0.3454  4 S 2.02-2.12
P5 0.5054 0.3898 0.1546  4 S 2.02-2.12
P6 0.5355 0.6457 0.9079  4 S 2.00-2.11
P7 0.9645 0.3543 0.4079  4 S 2.00-2.11
P8 0.9946 0.6102 0.6546  4 S 2.02-2.12
S1 0.0186 0.6385 0.5686  1 P 2.12
S2 0.0203 0.9092 0.1715  1 P 2.00
S3 0.0300 0.8870 0.8355  1 P 2.09
S4 0.0650 0.6301 0.0799  1 P 2.11
S5 0.2141 0.4183 0.4469  1 P 2.07
S6 0.2323 0.6881 0.6916  1 P 2.02
S7 0.2326 0.0582 0.5524  1 P 2.05
S8 0.2453 0.2074 0.8173  1 P 2.02
S9 0.2547 0.7926 0.3173  1 P 2.02
S10 0.2674 0.9418 0.0524  1 P 2.05
S11 0.2677 0.3119 0.1916  1 P 2.02
S12 0.2859 0.5817 0.9469  1 P 2.07
S13 0.4350 0.3699 0.5799  1 P 2.11
S14 0.4700 0.1130 0.3355  1 P 2.09
S15 0.4797 0.0908 0.6715  1 P 2.00
S16 0.4814 0.3615 0.0686  1 P 2.12
S17 0.5186 0.8615 0.4314  1 P 2.12
S18 0.5203 0.5908 0.8285  1 P 2.00
S19 0.5300 0.6130 0.1645  1 P 2.09
S20 0.5650 0.8699 0.9201  1 P 2.11
S21 0.7141 0.0817 0.5531  1 P 2.07
S22 0.7323 0.8119 0.3084  1 P 2.02
S23 0.7326 0.4418 0.4476  1 P 2.05
S24 0.7453 0.2926 0.1827  1 P 2.02
S25 0.7547 0.7074 0.6827  1 P 2.02
S26 0.7674 0.5582 0.9476  1 P 2.05
S27 0.7677 0.1881 0.8084  1 P 2.02
S28 0.7859 0.9183 0.0531  1 P 2.07
S29 0.9350 0.1301 0.4201  1 P 2.11
S30 0.9700 0.3870 0.6645  1 P 2.09
S31 0.9797 0.4092 0.3285  1 P 2.00
S32 0.9814 0.1385 0.9314  1 P 2.12

Output
SG = No. 19
ΔE_f = -98.7 kJ per mole of atoms